# 1
Sm2ZnAg: optimized geometry, meta-GGA r2SCAN.

Summary:
ΔH_f (0 K): -0.313 eV/atom
Space group: Fm-3m
Density: 8.016 g cm⁻³

a b c (Å): 5.1784 5.1784 5.1784
angles (deg): 60.00 60.00 60.00
Fractional coordinates of all 4 atoms:
Sm  0.0000  0.0000  0.0000
Sm  0.5000  0.5000  0.5000
Zn  0.7500  0.7500  0.7500
Ag  0.2500  0.2500  0.2500


# 2
AuF3: optimized geometry, meta-GGA r2SCAN.

Summary:
ΔH_f (0 K): -1.102 eV/atom
Space group: P6_122
Density: 6.915 g cm⁻³

a b c (Å): 5.0565 5.0565 16.5260
angles (deg): 90.00 90.00 120.00
Fractional coordinates of all 24 atoms:
Au  0.7603  0.5206  0.7500
Au  0.2397  0.4794  0.2500
Au  0.5206  0.7603  0.5833
F  0.4654  0.7846  0.1706
F  0.1549  0.0000  0.0000
F  0.8451  0.8451  0.6667
F  0.4654  0.6808  0.9960
F  0.5346  0.2154  0.6706
Au  0.7603  0.2397  0.4167
F  0.7846  0.3192  0.0040
Au  0.2397  0.7603  0.9167
Au  0.4794  0.2397  0.0833
F  0.3192  0.7846  0.3294
F  0.0000  0.8451  0.8333
F  0.1549  0.1549  0.1667
F  0.6808  0.4654  0.3373
F  0.8451  0.0000  0.5000
F  0.5346  0.3192  0.4960
F  0.7846  0.4654  0.1627
F  0.0000  0.1549  0.3333
F  0.2154  0.6808  0.5040
F  0.6808  0.2154  0.8294
F  0.3192  0.5346  0.8373
F  0.2154  0.5346  0.6627


# 3
Be2Ag: optimized geometry, meta-GGA r2SCAN.

Summary:
ΔH_f (0 K): 0.022 eV/atom
Space group: Fd-3m
Density: 6.401 g cm⁻³

a b c (Å): 4.5205 4.5205 4.5205
angles (deg): 60.00 60.00 60.00
Fractional coordinates of all 6 atoms:
Be  0.0000  0.5000  0.5000
Ag  0.8750  0.8750  0.8750
Be  0.5000  0.5000  0.0000
Ag  0.1250  0.1250  0.1250
Be  0.5000  0.5000  0.5000
Be  0.5000  0.0000  0.5000


# 4
EuAl2: optimized geometry, meta-GGA r2SCAN.

Summary:
ΔH_f (0 K): -0.433 eV/atom
Space group: Fd-3m
Density: 5.236 g cm⁻³

a b c (Å): 5.6952 5.6952 5.6951
angles (deg): 60.00 60.00 60.00
Fractional coordinates of all 6 atoms:
Eu  0.1250  0.1250  0.1250
Al  0.5000  0.0000  0.5000
Al  0.0000  0.5000  0.5000
Al  0.5000  0.5000  0.5000
Al  0.5000  0.5000  0.0000
Eu  0.8750  0.8750  0.8750


# 5
Mn2PO5: optimized geometry, meta-GGA r2SCAN.

Summary:
E above lowest polymorph: 0.0 meV per atom
ΔH_f (0 K): -2.322 eV/atom
Space group: Pnnm
Density: 3.537 g cm⁻³

a b c (Å): 5.9164 8.3354 8.4092
angles (deg): 90.00 90.00 90.00
Fractional coordinates of all 32 atoms:
O  0.0000  0.3984  0.1158
Mn  0.5000  0.1473  0.3690
O  0.0000  0.8755  0.0794
O  0.5000  0.1016  0.6158
O  0.0000  0.6016  0.8842
P  0.0000  0.2690  0.2461
Mn  0.7597  0.0000  0.0000
P  0.5000  0.7690  0.2539
O  0.5000  0.1340  0.9079
O  0.0000  0.1245  0.9206
Mn  0.7403  0.5000  0.5000
O  0.7881  0.8350  0.7654
O  0.7881  0.1650  0.2346
O  0.7119  0.6650  0.2654
O  0.2881  0.3350  0.7346
P  0.0000  0.7310  0.7539
Mn  0.0000  0.3527  0.8690
P  0.5000  0.2310  0.7461
Mn  0.0000  0.6473  0.1310
O  0.7119  0.3350  0.7346
Mn  0.2597  0.5000  0.5000
O  0.2119  0.8350  0.7654
Mn  0.5000  0.8527  0.6310
O  0.0000  0.3660  0.4079
O  0.2119  0.1650  0.2346
O  0.5000  0.3755  0.4206
O  0.2881  0.6650  0.2654
O  0.5000  0.8660  0.0921
O  0.5000  0.8984  0.3842
O  0.0000  0.6340  0.5921
Mn  0.2403  0.0000  0.0000
O  0.5000  0.6245  0.5794


# 6
Pr12InPt7: optimized geometry, meta-GGA r2SCAN.

Summary:
ΔH_f (0 K): -0.962 eV/atom
Space group: I4/mcm
Density: 9.697 g cm⁻³

a b c (Å): 11.2983 11.2983 11.2984
angles (deg): 114.63 114.63 99.59
Fractional coordinates of all 40 atoms:
Pr  0.5699  0.4349  0.7189
Pr  0.8640  0.3640  0.5000
Pr  0.7840  0.0651  0.1350
Pt  0.0201  0.8700  0.5000
Pr  0.2840  0.1490  0.7189
Pr  0.1360  0.6360  0.5000
Pt  0.2500  0.2500  0.0000
Pr  0.3640  0.8640  0.5000
Pr  0.2160  0.9349  0.8650
Pt  0.8742  0.3742  0.2483
Pt  0.1300  0.6300  0.1501
Pr  0.6360  0.1360  0.5000
Pt  0.3742  0.1258  0.5000
Pr  0.4349  0.7160  0.8650
Pt  0.7500  0.7500  0.0000
Pr  0.6490  0.7840  0.7189
Pr  0.0699  0.3510  0.1350
Pr  0.1490  0.4301  0.8650
Pr  0.9301  0.6490  0.8650
Pt  0.4799  0.9799  0.8499
Pr  0.3245  0.8245  0.1490
Pr  0.9349  0.0699  0.7189
Pr  0.0651  0.9301  0.2811
Pt  0.8700  0.3700  0.8499
Pr  0.4301  0.5651  0.2811
Pt  0.3700  0.5201  0.5000
Pt  0.1258  0.6258  0.7517
Pt  0.9799  0.1300  0.5000
Pr  0.6755  0.1755  0.8510
Pr  0.7160  0.8510  0.2811
Pt  0.5201  0.0201  0.1501
Pt  0.6258  0.8742  0.5000
Pr  0.8245  0.6755  0.5000
In  0.5000  0.5000  0.0000
In  0.0000  0.0000  0.0000
Pr  0.8510  0.5699  0.1350
Pr  0.5651  0.2840  0.1350
Pt  0.6300  0.4799  0.5000
Pr  0.3510  0.2160  0.2811
Pr  0.1755  0.3245  0.5000


# 7
TmPaRu2: optimized geometry, meta-GGA r2SCAN.

Summary:
ΔH_f (0 K): -0.499 eV/atom
Space group: Fm-3m
Density: 12.847 g cm⁻³

a b c (Å): 4.7923 4.7923 4.7923
angles (deg): 60.00 60.00 60.00
Fractional coordinates of all 4 atoms:
Ru  0.2500  0.2500  0.2500
Pa  0.5000  0.5000  0.5000
Tm  0.0000  0.0000  0.0000
Ru  0.7500  0.7500  0.7500


# 8
CsTmZnTe3: optimized geometry, meta-GGA r2SCAN.

Summary:
ΔH_f (0 K): -1.289 eV/atom
Space group: Cmcm
Density: 5.712 g cm⁻³

a b c (Å): 4.3873 8.8381 11.6097
angles (deg): 90.00 90.00 104.37
Fractional coordinates of all 12 atoms:
Te  0.6184  0.2367  0.5563
Tm  0.0000  0.0000  0.5000
Te  0.0579  0.1157  0.2500
Cs  0.7462  0.4923  0.2500
Cs  0.2538  0.5077  0.7500
Te  0.3816  0.7633  0.4437
Zn  0.5380  0.0761  0.7500
Tm  0.0000  0.0000  0.0000
Zn  0.4620  0.9239  0.2500
Te  0.9421  0.8843  0.7500
Te  0.3816  0.7633  0.0563
Te  0.6184  0.2367  0.9437


# 9
LiPrTl2: optimized geometry, meta-GGA r2SCAN.

Summary:
ΔH_f (0 K): -0.423 eV/atom
Space group: Fm-3m
Density: 8.875 g cm⁻³

a b c (Å): 5.2810 5.2810 5.2810
angles (deg): 60.00 60.00 60.00
Fractional coordinates of all 4 atoms:
Tl  0.0000  0.0000  0.0000
Li  0.2500  0.2500  0.2500
Pr  0.7500  0.7500  0.7500
Tl  0.5000  0.5000  0.5000


# 10
Ti6CCl14: optimized geometry, meta-GGA r2SCAN.

Summary:
ΔH_f (0 K): -1.785 eV/atom
Space group: Cmce
Density: 2.878 g cm⁻³

a b c (Å): 9.1426 9.1426 11.0288
angles (deg): 90.00 90.00 95.13
Fractional coordinates of all 42 atoms:
Cl  0.0320  0.7883  0.7434
Cl  0.9680  0.2117  0.2566
Cl  0.2117  0.9680  0.2566
Cl  0.2478  0.7522  0.5000
Cl  0.3508  0.3508  0.2614
Cl  0.2522  0.7478  0.0000
C  0.0000  0.0000  0.5000
Cl  0.4680  0.7117  0.2434
Ti  0.9521  0.1794  0.6163
Cl  0.3873  0.1426  0.0114
Ti  0.4521  0.6794  0.8837
Cl  0.8508  0.8508  0.2386
Ti  0.6409  0.6409  0.1004
Cl  0.7522  0.2478  0.5000
Cl  0.3574  0.1127  0.5114
Cl  0.6492  0.6492  0.7386
Cl  0.6127  0.8574  0.9886
Ti  0.5479  0.3206  0.1163
Cl  0.7478  0.2522  0.0000
Cl  0.5320  0.2883  0.7566
Ti  0.3591  0.3591  0.8996
Cl  0.1046  0.6046  0.2500
Cl  0.6046  0.1046  0.2500
Cl  0.6426  0.8873  0.4886
C  0.5000  0.5000  0.0000
Cl  0.7883  0.0320  0.7434
Ti  0.1409  0.1409  0.3996
Ti  0.0479  0.8206  0.3837
Cl  0.7117  0.4680  0.2434
Ti  0.3206  0.5479  0.1163
Ti  0.6794  0.4521  0.8837
Cl  0.1492  0.1492  0.7614
Cl  0.2883  0.5320  0.7566
Cl  0.1426  0.3873  0.0114
Ti  0.1794  0.9521  0.6163
Cl  0.8574  0.6127  0.9886
Ti  0.8206  0.0479  0.3837
Cl  0.1127  0.3574  0.5114
Cl  0.8873  0.6426  0.4886
Ti  0.8591  0.8591  0.6004
Cl  0.8954  0.3954  0.7500
Cl  0.3954  0.8954  0.7500


# 11
Er6IrI10: optimized geometry, meta-GGA r2SCAN.

Summary:
ΔH_f (0 K): -1.465 eV/atom
Space group: P-1
Density: 6.461 g cm⁻³

a b c (Å): 7.6358 9.5435 9.6454
angles (deg): 107.43 97.02 104.72
Fractional coordinates of all 17 atoms:
Er  0.5303  0.7218  0.4182
I  0.2837  0.2615  0.8488
I  0.4137  0.6270  0.6798
Er  0.3862  0.9588  0.7420
I  0.7163  0.7385  0.1512
I  0.2373  0.9098  0.0347
Ir  0.5000  0.0000  0.5000
I  0.7627  0.0902  0.9653
Er  0.6138  0.0412  0.2580
I  0.9523  0.8137  0.5919
Er  0.4697  0.2782  0.5818
I  0.1478  0.5455  0.2249
I  0.5863  0.3730  0.3202
I  0.8522  0.4545  0.7751
Er  0.8502  0.1260  0.6667
Er  0.1498  0.8740  0.3333
I  0.0477  0.1863  0.4081


# 12
CoSeO4: optimized geometry, meta-GGA r2SCAN.

Summary:
ΔH_f (0 K): -0.890 eV/atom
Space group: Cmcm
Density: 4.637 g cm⁻³

a b c (Å): 4.8939 4.8940 6.5248
angles (deg): 90.01 90.00 112.30
Fractional coordinates of all 12 atoms:
O  0.2419  0.7581  0.5368
Co  0.0000  0.0000  0.0000
O  0.2419  0.7580  0.9631
O  0.7213  0.7778  0.7500
Co  0.0000  0.0000  0.5000
O  0.7775  0.7211  0.2501
O  0.7581  0.2420  0.0369
O  0.2787  0.2222  0.2500
O  0.2225  0.2789  0.7499
Se  0.6498  0.3501  0.2501
O  0.7581  0.2419  0.4632
Se  0.3502  0.6499  0.7499